# KHfMg14O15

A geometry-optimized KHfMg14O15 structure (PBE, Materials Project).

Results
Excess energy over the best structure of this formula in the dataset, meV per atom: 0.0
Raw total energy, eV per atom: -5.877
ρ, Mg/m³: 3.95

a = 8.669 Å, b = 8.749 Å, c = 4.423 Å
α = 90.00°, β = 90.00°, γ = 90.00°
Positions (direct):
K (0.001, 0.000, 0.000)
Hf (0.009, 0.500, 0.000)
Mg (0.501, 0.000, 0.000)
Mg (0.502, 0.500, 0.000)
Mg (0.000, 0.239, 0.500)
Mg (0.000, 0.761, 0.500)
Mg (0.499, 0.248, 0.500)
Mg (0.499, 0.752, 0.500)
Mg (0.254, 0.000, 0.500)
Mg (0.253, 0.500, 0.500)
Mg (0.747, 0.000, 0.500)
Mg (0.744, 0.500, 0.500)
Mg (0.259, 0.241, 0.000)
Mg (0.259, 0.759, 0.000)
Mg (0.742, 0.245, 0.000)
Mg (0.742, 0.755, 0.000)
O (0.276, 0.000, 0.000)
O (0.725, 0.000, 0.000)
O (0.745, 0.500, 0.000)
O (0.250, 0.243, 0.500)
O (0.250, 0.757, 0.500)
O (0.750, 0.250, 0.500)
O (0.750, 0.750, 0.500)
O (0.998, 0.000, 0.500)
O (0.995, 0.500, 0.500)
O (0.501, 0.000, 0.500)
O (0.501, 0.500, 0.500)
O (0.998, 0.271, 0.000)
O (0.998, 0.729, 0.000)
O (0.500, 0.257, 0.000)
O (0.500, 0.743, 0.000)